No. 1
The following is a PBE calculation of a relaxed structure of S, from the Materials Project.

DFT formation energy	0.019	eV/atom
SG	P-1
DFT total energy	-4.118	eV/atom

Cell: 6.0594 10.3438 15.5444 Å, 95.14 97.95 100.78°
Closest atoms and distances in Å follow each position.
Fractional coordinates of all 28 atoms:
S 0.0024 0.3866 0.3729  2 S 2.07
S 0.0229 0.1640 0.7819  2 S 2.06
S 0.0365 0.9473 0.1169  2 S 2.06-2.07
S 0.0830 0.0495 0.6754  2 S 2.06-2.07
S 0.1594 0.5738 0.3520  2 S 2.07
S 0.1944 0.3727 0.0831  2 S 2.07
S 0.2103 0.0044 0.4163  2 S 2.06-2.07
S 0.2149 0.3232 0.4688  2 S 2.07
S 0.2976 0.5640 0.1451  2 S 2.06-2.07
S 0.3759 0.1932 0.4043  2 S 2.06-2.07
S 0.3823 0.9880 0.1120  2 S 2.06-2.07
S 0.4120 0.5636 0.2765  2 S 2.06-2.07
S 0.4745 0.8207 0.8332  2 S 2.06-2.07
S 0.4836 0.2993 0.0688  2 S 2.07
S 0.5164 0.7007 0.9312  2 S 2.07
S 0.5255 0.1793 0.1668  2 S 2.06-2.07
S 0.5880 0.4364 0.7235  2 S 2.06-2.07
S 0.6177 0.0120 0.8880  2 S 2.06-2.07
S 0.6241 0.8068 0.5957  2 S 2.06-2.07
S 0.7024 0.4360 0.8549  2 S 2.06-2.07
S 0.7851 0.6768 0.5312  2 S 2.07
S 0.7897 0.9956 0.5837  2 S 2.06-2.07
S 0.8056 0.6273 0.9169  2 S 2.07
S 0.8406 0.4262 0.6480  2 S 2.07
S 0.9170 0.9505 0.3246  2 S 2.06-2.07
S 0.9635 0.0527 0.8831  2 S 2.06-2.07
S 0.9771 0.8360 0.2181  2 S 2.06
S 0.9976 0.6134 0.6271  2 S 2.07

No. 2
The following is a PBE calculation of a relaxed structure of S, from the Materials Project.

DFT formation energy	0.001	eV/atom
SG	P2_1
DFT total energy	-4.136	eV/atom

Cell: 11.8583 11.5991 11.8614 Å, 90.00 98.36 90.00°
Closest atoms and distances in Å follow each position.
Fractional coordinates of all 48 atoms:
S 0.0467 0.0615 0.4510  2 S 2.06-2.07
S 0.0585 0.7276 0.8862  2 S 2.06
S 0.0625 0.2601 0.6598  2 S 2.06-2.07
S 0.0623 0.7884 0.0502  2 S 2.06
S 0.0759 0.2331 0.4903  2 S 2.06
S 0.1572 0.5808 0.8892  2 S 2.06
S 0.1597 0.4831 0.2543  2 S 2.06
S 0.1828 0.9170 0.0813  2 S 2.06
S 0.2004 0.9755 0.4609  2 S 2.06-2.07
S 0.2233 0.2580 0.7540  2 S 2.06-2.07
S 0.2366 0.8969 0.6180  2 S 2.06
S 0.2535 0.0966 0.8249  2 S 2.06
S 0.2579 0.3877 0.1584  2 S 2.06
S 0.2645 0.5871 0.3651  2 S 2.06
S 0.2875 0.2266 0.2304  2 S 2.06-2.07
S 0.2951 0.5084 0.5225  2 S 2.06-2.07
S 0.3163 0.6244 0.8516  2 S 2.06
S 0.3332 0.8485 0.1638  2 S 2.06
S 0.3464 0.0000 0.7249  2 S 2.06
S 0.4247 0.2528 0.4981  2 S 2.06
S 0.4284 0.6426 0.0009  2 S 2.06
S 0.4408 0.8144 0.0461  2 S 2.06
S 0.4453 0.2262 0.3304  2 S 2.06-2.07
S 0.4503 0.4245 0.5385  2 S 2.06-2.07
S 0.5497 0.9245 0.4615  2 S 2.06-2.07
S 0.5547 0.7262 0.6696  2 S 2.06-2.07
S 0.5592 0.3144 0.9539  2 S 2.06
S 0.5716 0.1426 0.9991  2 S 2.06
S 0.5753 0.7528 0.5019  2 S 2.06
S 0.6536 0.5000 0.2751  2 S 2.06
S 0.6668 0.3485 0.8362  2 S 2.06
S 0.6837 0.1244 0.1484  2 S 2.06
S 0.7049 0.0084 0.4775  2 S 2.06-2.07
S 0.7125 0.7266 0.7696  2 S 2.06-2.07
S 0.7355 0.0871 0.6349  2 S 2.06
S 0.7421 0.8877 0.8416  2 S 2.06
S 0.7465 0.5966 0.1751  2 S 2.06
S 0.7634 0.3969 0.3820  2 S 2.06
S 0.7767 0.7580 0.2460  2 S 2.06-2.07
S 0.7996 0.4755 0.5391  2 S 2.06-2.07
S 0.8172 0.4170 0.9187  2 S 2.06
S 0.8403 0.9831 0.7457  2 S 2.06
S 0.8428 0.0808 0.1108  2 S 2.06
S 0.9241 0.7331 0.5097  2 S 2.06
S 0.9377 0.2884 0.9498  2 S 2.06
S 0.9375 0.7601 0.3402  2 S 2.06-2.07
S 0.9415 0.2276 0.1138  2 S 2.06
S 0.9533 0.5615 0.5490  2 S 2.06-2.07

No. 3
The following is a PBE calculation of a relaxed structure of S, from the Materials Project.

DFT formation energy	0.000	eV/atom
SG	P2/c
DFT total energy	-4.136	eV/atom

Cell: 9.2481 13.6421 10.8968 Å, 90.00 123.00 90.00°
Closest atoms and distances in Å follow each position.
Fractional coordinates of all 32 atoms:
S 0.0824 0.1723 0.2139  2 S 2.06
S 0.0824 0.8277 0.7139  2 S 2.06
S 0.1328 0.1504 0.8178  2 S 2.06
S 0.1328 0.8496 0.3178  2 S 2.06
S 0.2156 0.3927 0.5786  2 S 2.06
S 0.2156 0.6073 0.0786  2 S 2.06
S 0.2331 0.0558 0.7349  2 S 2.06
S 0.2331 0.9442 0.2349  2 S 2.06
S 0.2659 0.4741 0.0197  2 S 2.06
S 0.2659 0.5259 0.5197  2 S 2.06
S 0.2842 0.0773 0.3405  2 S 2.06
S 0.2842 0.9227 0.8405  2 S 2.06
S 0.3673 0.3796 0.1955  2 S 2.06
S 0.3673 0.6204 0.6955  2 S 2.06
S 0.4176 0.2982 0.6376  2 S 2.06
S 0.4176 0.7018 0.1376  2 S 2.06
S 0.5824 0.2982 0.8624  2 S 2.06
S 0.5824 0.7018 0.3624  2 S 2.06
S 0.6327 0.3796 0.3045  2 S 2.06
S 0.6327 0.6204 0.8045  2 S 2.06
S 0.7158 0.0773 0.1595  2 S 2.06
S 0.7158 0.9227 0.6595  2 S 2.06
S 0.7341 0.4741 0.4803  2 S 2.06
S 0.7341 0.5259 0.9803  2 S 2.06
S 0.7669 0.0558 0.7651  2 S 2.06
S 0.7669 0.9442 0.2651  2 S 2.06
S 0.7844 0.3927 0.9214  2 S 2.06
S 0.7844 0.6073 0.4214  2 S 2.06
S 0.8672 0.1504 0.6822  2 S 2.06
S 0.8672 0.8496 0.1822  2 S 2.06
S 0.9176 0.1723 0.2861  2 S 2.06
S 0.9176 0.8277 0.7861  2 S 2.06

No. 4
The following is a PBE calculation of a relaxed structure of S, from the Materials Project.

DFT formation energy	0.626	eV/atom
SG	Pm-3m
DFT total energy	-3.510	eV/atom

Cell: 2.5760 2.5760 2.5760 Å, 90.00 90.00 90.00°
Closest atoms and distances in Å follow each position.
Fractional coordinates of all 1 atoms:
S 0.0000 0.0000 0.0000  6 S 2.58

No. 5
The following is a PBE calculation of a relaxed structure of S, from the Materials Project.

DFT formation energy	0.037	eV/atom
SG	P2_1/c
DFT total energy	-4.099	eV/atom

Cell: 8.4998 14.9968 19.0080 Å, 90.00 102.53 90.00°
Closest atoms and distances in Å follow each position.
Fractional coordinates of all 72 atoms:
S 0.0033 0.0220 0.1258  2 S 2.06-2.07
S 0.0033 0.4780 0.6258  2 S 2.06-2.07
S 0.0086 0.7093 0.0985  2 S 2.05-2.09
S 0.0086 0.7907 0.5985  2 S 2.05-2.09
S 0.0493 0.6743 0.5451  2 S 2.06-2.09
S 0.0493 0.8257 0.0451  2 S 2.06-2.09
S 0.1386 0.0091 0.8026  2 S 2.06-2.09
S 0.1386 0.4909 0.3026  2 S 2.06-2.09
S 0.1434 0.2367 0.3340  2 S 2.05-2.07
S 0.1434 0.2633 0.8340  2 S 2.05-2.07
S 0.1594 0.5830 0.6209  2 S 2.06-2.07
S 0.1594 0.9170 0.1209  2 S 2.06-2.07
S 0.2194 0.1784 0.6417  2 S 2.06-2.08
S 0.2194 0.3216 0.1417  2 S 2.06-2.08
S 0.2356 0.7484 0.3497  2 S 2.04-2.09
S 0.2356 0.7516 0.8497  2 S 2.04-2.09
S 0.2419 0.5260 0.8720  2 S 2.07-2.08
S 0.2419 0.9740 0.3720  2 S 2.07-2.08
S 0.2596 0.0858 0.5674  2 S 2.06-2.09
S 0.2596 0.4142 0.0674  2 S 2.06-2.09
S 0.2945 0.6491 0.9214  2 S 2.04-2.08
S 0.2945 0.8509 0.4214  2 S 2.04-2.08
S 0.3650 0.5264 0.1235  2 S 2.05-2.09
S 0.3650 0.9736 0.6235  2 S 2.05-2.09
S 0.3705 0.2129 0.1420  2 S 2.06-2.08
S 0.3705 0.2871 0.6420  2 S 2.06-2.08
S 0.3762 0.0228 0.8612  2 S 2.04-2.09
S 0.3762 0.4772 0.3612  2 S 2.04-2.09
S 0.3789 0.2474 0.8901  2 S 2.07-2.08
S 0.3789 0.2526 0.3901  2 S 2.07-2.08
S 0.3847 0.1215 0.9360  2 S 2.04-2.08
S 0.3847 0.3785 0.4360  2 S 2.04-2.08
S 0.4121 0.7375 0.2886  2 S 2.06-2.09
S 0.4121 0.7625 0.7886  2 S 2.06-2.09
S 0.4168 0.5082 0.8127  2 S 2.05-2.07
S 0.4168 0.9918 0.3127  2 S 2.05-2.07
S 0.5832 0.0082 0.6873  2 S 2.05-2.07
S 0.5832 0.4918 0.1873  2 S 2.05-2.07
S 0.5879 0.2375 0.2114  2 S 2.06-2.09
S 0.5879 0.2625 0.7114  2 S 2.06-2.09
S 0.6153 0.6215 0.5640  2 S 2.04-2.08
S 0.6153 0.8785 0.0640  2 S 2.04-2.08
S 0.6211 0.7474 0.6099  2 S 2.07-2.08
S 0.6211 0.7526 0.1099  2 S 2.07-2.08
S 0.6238 0.5228 0.6388  2 S 2.04-2.09
S 0.6238 0.9772 0.1388  2 S 2.04-2.09
S 0.6295 0.7129 0.3580  2 S 2.06-2.08
S 0.6295 0.7871 0.8580  2 S 2.06-2.08
S 0.6350 0.0264 0.3765  2 S 2.05-2.09
S 0.6350 0.4736 0.8765  2 S 2.05-2.09
S 0.7055 0.1491 0.5786  2 S 2.04-2.08
S 0.7055 0.3509 0.0786  2 S 2.04-2.08
S 0.7404 0.5858 0.9326  2 S 2.06-2.09
S 0.7404 0.9142 0.4326  2 S 2.06-2.09
S 0.7581 0.0260 0.6280  2 S 2.07-2.08
S 0.7581 0.4740 0.1280  2 S 2.07-2.08
S 0.7644 0.2484 0.1503  2 S 2.04-2.09
S 0.7644 0.2516 0.6503  2 S 2.04-2.09
S 0.7806 0.6784 0.8583  2 S 2.06-2.08
S 0.7806 0.8216 0.3583  2 S 2.06-2.08
S 0.8406 0.0830 0.8791  2 S 2.06-2.07
S 0.8406 0.4170 0.3791  2 S 2.06-2.07
S 0.8566 0.7367 0.1660  2 S 2.05-2.07
S 0.8566 0.7633 0.6660  2 S 2.05-2.07
S 0.8614 0.5091 0.6974  2 S 2.06-2.09
S 0.8614 0.9909 0.1974  2 S 2.06-2.09
S 0.9507 0.1743 0.9549  2 S 2.06-2.09
S 0.9507 0.3257 0.4549  2 S 2.06-2.09
S 0.9914 0.2093 0.4015  2 S 2.05-2.09
S 0.9914 0.2907 0.9015  2 S 2.05-2.09
S 0.9967 0.5220 0.3742  2 S 2.06-2.07
S 0.9967 0.9780 0.8742  2 S 2.06-2.07

No. 6
The following is a PBE calculation of a relaxed structure of S, from the Materials Project.

DFT formation energy	0.571	eV/atom
SG	P2_1/c
DFT total energy	-3.566	eV/atom

Cell: 6.1302 4.2413 4.0085 Å, 90.00 90.84 90.00°
Closest atoms and distances in Å follow each position.
Fractional coordinates of all 4 atoms:
S 0.2416 0.1691 0.2839  2 S 2.12
S 0.2416 0.3309 0.7839  2 S 2.12
S 0.7584 0.6691 0.2161  2 S 2.12
S 0.7584 0.8309 0.7161  2 S 2.12

| no. | energy above the most stable polymorph in this dataset (meV/atom) |
| --- | --- |
| 1 | 18.9 |
| 2 | 0.9 |
| 3 | 0.0 |
| 4 | 626.4 |
| 5 | 37.2 |
| 6 | 570.9 |